No. 1
K2ErAgCl6: relaxed, PBE.

a = 7.5504 Å, b = 7.5504 Å, c = 7.5504 Å
α = 60.00°, β = 60.00°, γ = 60.00°
Last column: nearest neighbours and their distance in Å.
Sites, in units of the cell vectors:
Cl 0.2441 0.7559 0.7559  1 Er 2.61, 1 Ag 2.73
K 0.2500 0.2500 0.2500  12 Cl 3.78
Cl 0.2441 0.2441 0.7559  1 Er 2.61, 1 Ag 2.73
K 0.7500 0.7500 0.7500  12 Cl 3.78
Er 0.0000 0.0000 0.0000  6 Cl 2.61
Cl 0.2441 0.7559 0.2441  1 Er 2.61, 1 Ag 2.73
Cl 0.7559 0.2441 0.2441  1 Er 2.61, 1 Ag 2.73
Cl 0.7559 0.2441 0.7559  1 Er 2.61, 1 Ag 2.73
Cl 0.7559 0.7559 0.2441  1 Er 2.61, 1 Ag 2.73
Ag 0.5000 0.5000 0.5000  6 Cl 2.73

Results
The symmetry is Fm-3m, No. 225. As for the total energy: -3.85 eV/atom. For the energy of formation, the calculation gives -21.465 eV per formula unit.

No. 2
Er3FeSi3: relaxed, PBE.

a = 5.5989 Å, b = 5.5989 Å, c = 13.3949 Å
α = 70.42°, β = 70.42°, γ = 43.31°
Last column: nearest neighbours and their distance in Å.
Sites, in units of the cell vectors:
Er 0.4762 0.4762 0.3795  6 Si 2.86-3.11, 4 Fe 2.92-3.09
Si 0.1140 0.1140 0.9246  2 Si 2.50-2.52
Er 0.6011 0.6011 0.0808  7 Si 2.91-3.07
Er 0.2515 0.2515 0.2299  6 Si 2.83-3.13
Si 0.1440 0.1440 0.4566  3 Fe 2.33
Fe 0.2469 0.2469 0.5846  4 Si 2.33-2.46
Si 0.9452 0.9452 0.2421  1 Fe 2.46, 1 Si 2.52
Si 0.8860 0.8860 0.0754  2 Si 2.50-2.52
Er 0.3989 0.3989 0.9192  7 Si 2.91-3.07
Si 0.0548 0.0548 0.7579  1 Fe 2.46, 1 Si 2.52
Si 0.8560 0.8560 0.5434  3 Fe 2.33
Fe 0.7531 0.7531 0.4154  4 Si 2.33-2.46
Er 0.7485 0.7485 0.7701  6 Si 2.83-3.13
Er 0.5238 0.5238 0.6205  6 Si 2.86-3.11, 4 Fe 2.92-3.09

Results
The symmetry is C2/m, No. 12. As for the total energy: -6.24 eV/atom. For the energy of formation, the calculation gives -5.035 eV per formula unit.

No. 3
SiO2: relaxed, PBE.

a = 11.5062 Å, b = 11.5062 Å, c = 19.9449 Å
α = 90.00°, β = 90.00°, γ = 129.14°
Last column: nearest neighbours and their distance in Å.
Sites, in units of the cell vectors:
O 0.5987 0.4013 0.0000  2 Si 1.63
Si 0.5263 0.6792 0.9405  4 O 1.62-1.63
O 0.4013 0.5987 0.0000  2 Si 1.63
O 0.6146 0.9620 0.0669  2 Si 1.63
O 0.0566 0.6270 0.5568  2 Si 1.63
Si 0.2802 0.6381 0.1717  4 O 1.62-1.63
Si 0.0014 0.3073 0.0066  4 O 1.62-1.63
Si 0.4919 0.9601 0.3911  4 O 1.62-1.63
O 0.3854 0.0380 0.5669  2 Si 1.63
O 0.8507 0.6625 0.5370  2 Si 1.62-1.63
Si 0.4737 0.3208 0.4405  4 O 1.62-1.63
Si 0.3208 0.4737 0.0595  4 O 1.62-1.63
O 0.4087 0.4087 0.4268  2 Si 1.62
O 0.4015 0.8180 0.3406  2 Si 1.62-1.63
O 0.3730 0.9434 0.0568  2 Si 1.63
Si 0.6381 0.2802 0.1717  4 O 1.62-1.63
O 0.9620 0.6146 0.4331  2 Si 1.63
O 0.0380 0.3854 0.9331  2 Si 1.63
O 0.5774 0.1129 0.3476  2 Si 1.62-1.63
O 0.8507 0.6625 0.9630  2 Si 1.62-1.63
Si 0.0399 0.5081 0.6089  4 O 1.62-1.63
O 0.6146 0.9620 0.4331  2 Si 1.63
O 0.1493 0.3375 0.4630  2 Si 1.62-1.63
Si 0.5081 0.0399 0.6089  4 O 1.62-1.63
Si 0.9986 0.6927 0.9934  4 O 1.62-1.63
Si 0.7198 0.3619 0.8283  4 O 1.62-1.63
O 0.0380 0.3854 0.5669  2 Si 1.63
O 0.1129 0.5774 0.3476  2 Si 1.62-1.63
O 0.6270 0.0566 0.9432  2 Si 1.63
O 0.6625 0.8507 0.5370  2 Si 1.62-1.63
O 0.8871 0.4226 0.6524  2 Si 1.62-1.63
Si 0.4919 0.9601 0.1089  4 O 1.62-1.63
O 0.5985 0.1820 0.8406  2 Si 1.62-1.63
Si 0.9601 0.4919 0.1089  4 O 1.62-1.63
O 0.3730 0.9434 0.4432  2 Si 1.63
O 0.4487 0.6765 0.8721  2 Si 1.62
O 0.6039 0.2845 0.2500  2 Si 1.62
O 0.9434 0.3730 0.0568  2 Si 1.63
Si 0.4737 0.3208 0.0595  4 O 1.62-1.63
O 0.8725 0.1275 0.5000  2 Si 1.62
O 0.5774 0.1129 0.1524  2 Si 1.62-1.63
O 0.1129 0.5774 0.1524  2 Si 1.62-1.63
O 0.8180 0.4015 0.1594  2 Si 1.62-1.63
O 0.2845 0.6039 0.2500  2 Si 1.62
O 0.4015 0.8180 0.1594  2 Si 1.62-1.63
O 0.6625 0.8507 0.9630  2 Si 1.62-1.63
Si 0.2802 0.6381 0.3283  4 O 1.62-1.63
O 0.1493 0.3375 0.0370  2 Si 1.62-1.63
O 0.8725 0.1275 0.0000  2 Si 1.62
Si 0.0399 0.5081 0.8911  4 O 1.62-1.63
Si 0.3619 0.7198 0.8283  4 O 1.62-1.63
O 0.5987 0.4013 0.5000  2 Si 1.63
Si 0.6792 0.5263 0.5595  4 O 1.62-1.63
O 0.1820 0.5985 0.8406  2 Si 1.62-1.63
O 0.1275 0.8725 0.5000  2 Si 1.62
O 0.5913 0.5913 0.9268  2 Si 1.62
O 0.5913 0.5913 0.5732  2 Si 1.62
O 0.3854 0.0380 0.9331  2 Si 1.63
O 0.3235 0.5513 0.3721  2 Si 1.62
O 0.0566 0.6270 0.9432  2 Si 1.63
O 0.5513 0.3235 0.3721  2 Si 1.62
O 0.7155 0.3961 0.7500  2 Si 1.62
O 0.4087 0.4087 0.0732  2 Si 1.62
O 0.3375 0.1493 0.0370  2 Si 1.62-1.63
Si 0.3073 0.0014 0.4934  4 O 1.62-1.63
Si 0.6927 0.9986 0.5066  4 O 1.62-1.63
O 0.5513 0.3235 0.1279  2 Si 1.62
O 0.3235 0.5513 0.1279  2 Si 1.62
O 0.4226 0.8871 0.6524  2 Si 1.62-1.63
Si 0.6792 0.5263 0.9405  4 O 1.62-1.63
Si 0.3073 0.0014 0.0066  4 O 1.62-1.63
O 0.6765 0.4487 0.8721  2 Si 1.62
Si 0.5263 0.6792 0.5595  4 O 1.62-1.63
O 0.4487 0.6765 0.6279  2 Si 1.62
O 0.1820 0.5985 0.6594  2 Si 1.62-1.63
Si 0.9601 0.4919 0.3911  4 O 1.62-1.63
Si 0.3208 0.4737 0.4405  4 O 1.62-1.63
O 0.5985 0.1820 0.6594  2 Si 1.62-1.63
O 0.6270 0.0566 0.5568  2 Si 1.63
Si 0.6927 0.9986 0.9934  4 O 1.62-1.63
O 0.6765 0.4487 0.6279  2 Si 1.62
O 0.9434 0.3730 0.4432  2 Si 1.63
Si 0.5081 0.0399 0.8911  4 O 1.62-1.63
O 0.8180 0.4015 0.3406  2 Si 1.62-1.63
Si 0.3619 0.7198 0.6717  4 O 1.62-1.63
O 0.3961 0.7155 0.7500  2 Si 1.62
Si 0.6381 0.2802 0.3283  4 O 1.62-1.63
Si 0.9986 0.6927 0.5066  4 O 1.62-1.63
O 0.8871 0.4226 0.8476  2 Si 1.62-1.63
O 0.9620 0.6146 0.0669  2 Si 1.63
O 0.3375 0.1493 0.4630  2 Si 1.62-1.63
Si 0.7198 0.3619 0.6717  4 O 1.62-1.63
O 0.1275 0.8725 0.0000  2 Si 1.62
O 0.4226 0.8871 0.8476  2 Si 1.62-1.63
O 0.4013 0.5987 0.5000  2 Si 1.63
Si 0.0014 0.3073 0.4934  4 O 1.62-1.63

Results
The symmetry is Cmcm, No. 63. As for the total energy: -7.91 eV/atom. For the energy of formation, the calculation gives -9.768 eV per formula unit.

No. 4
CdAg3: relaxed, PBE.

a = 9.7384 Å, b = 9.7384 Å, c = 9.7384 Å
α = 17.78°, β = 17.78°, γ = 17.78°
Last column: nearest neighbours and their distance in Å.
Sites, in units of the cell vectors:
Ag 0.2485 0.2485 0.2485  9 Ag 2.93-3.01, 3 Cd 2.99
Ag 0.7515 0.7515 0.7515  9 Ag 2.93-3.01, 3 Cd 2.99
Cd 0.0000 0.0000 0.0000  6 Ag 2.99, 6 Cd 3.01
Ag 0.5000 0.5000 0.5000  12 Ag 2.93-3.01

Results
The symmetry is R-3m, No. 166. As for the total energy: -2.36 eV/atom. For the energy of formation, the calculation gives -0.037 eV per formula unit.

No. 5
GeSe2: relaxed, PBE.

a = 6.4583 Å, b = 6.4583 Å, c = 6.4583 Å
α = 123.93°, β = 123.93°, γ = 83.31°
Last column: nearest neighbours and their distance in Å.
Sites, in units of the cell vectors:
Ge 0.7500 0.2500 0.5000  4 Se 2.40
Se 0.8750 0.8911 0.5161  2 Ge 2.40
Ge 0.0000 0.0000 0.0000  4 Se 2.40
Se 0.1089 0.6250 0.9839  2 Ge 2.40
Se 0.3750 0.3589 0.4839  2 Ge 2.40
Se 0.6411 0.1250 0.0161  2 Ge 2.40

Results
The symmetry is I-42d, No. 122. As for the total energy: -4.12 eV/atom. The value obtained for the piezoelectric modulus e_max is 0.14 C/m². For the energy of formation, the calculation gives -1.700 eV per formula unit.

No. 6
YMg2: relaxed, PBE.

a = 8.9089 Å, b = 8.9089 Å, c = 5.4505 Å
α = 90.00°, β = 90.00°, γ = 158.11°
Last column: nearest neighbours and their distance in Å.
Sites, in units of the cell vectors:
Mg 0.4435 0.5565 0.5000  4 Y 3.28-3.33, 8 Mg 3.33-3.38
Mg 0.3337 0.6663 0.0000  8 Mg 3.33-3.38, 4 Y 3.33
Mg 0.9974 0.0026 0.0000  10 Mg 3.33-3.44, 2 Y 3.34
Mg 0.6685 0.3315 0.0000  6 Mg 3.35-3.44, 6 Y 3.38
Y 0.1075 0.8925 0.5000  8 Mg 3.33-3.38, 4 Y 3.38-3.50
Y 0.7828 0.2172 0.5000  8 Mg 3.28-3.38, 4 Y 3.38-3.50

Results
The symmetry is Amm2, No. 38. As for the total energy: -3.20 eV/atom. For the energy of formation, the calculation gives 0.052 eV per formula unit.

No. 7
Sm2SO2: relaxed, PBE.

a = 3.9201 Å, b = 3.9201 Å, c = 6.7630 Å
α = 90.00°, β = 90.00°, γ = 120.00°
Last column: nearest neighbours and their distance in Å.
Sites, in units of the cell vectors:
Sm 0.6667 0.3333 0.7189  4 O 2.34-2.36
O 0.6667 0.3333 0.3705  4 Sm 2.34-2.36
Sm 0.3333 0.6667 0.2811  4 O 2.34-2.36
O 0.3333 0.6667 0.6295  4 Sm 2.34-2.36
S 0.0000 0.0000 0.0000  6 Sm 2.96

Results
The symmetry is P-3m1, No. 164. As for the total energy: -7.82 eV/atom. For the energy of formation, the calculation gives -17.516 eV per formula unit.

No. 8
Ho2ReC2: relaxed, PBE.

a = 5.0991 Å, b = 6.5596 Å, c = 9.8168 Å
α = 90.00°, β = 90.00°, γ = 90.00°
Last column: nearest neighbours and their distance in Å.
Sites, in units of the cell vectors:
C 0.2500 0.1757 0.9485  1 Re 1.94
Ho 0.2500 0.4673 0.7836  4 C 2.51-2.66
C 0.2500 0.5470 0.2409  2 Re 1.97-2.05
Ho 0.7500 0.6792 0.5564  5 C 2.48-2.56
Ho 0.2500 0.3208 0.4436  5 C 2.48-2.56
Ho 0.7500 0.0327 0.2836  4 C 2.51-2.66
Re 0.7500 0.2199 0.6329  3 C 1.94-2.05
Re 0.2500 0.7801 0.3671  3 C 1.94-2.05
Ho 0.7500 0.1792 0.9436  5 C 2.48-2.56
C 0.2500 0.6757 0.5515  1 Re 1.94
C 0.7500 0.9530 0.7409  2 Re 1.97-2.05
C 0.7500 0.3243 0.4485  1 Re 1.94
C 0.7500 0.8243 0.0515  1 Re 1.94
Re 0.7500 0.7199 0.8671  3 C 1.94-2.05
Ho 0.2500 0.8208 0.0564  5 C 2.48-2.56
C 0.2500 0.0470 0.2591  2 Re 1.97-2.05
Re 0.2500 0.2801 0.1329  3 C 1.94-2.05
C 0.7500 0.4530 0.7591  2 Re 1.97-2.05
Ho 0.7500 0.5327 0.2164  4 C 2.51-2.66
Ho 0.2500 0.9673 0.7164  4 C 2.51-2.66

Results
The symmetry is Pnma, No. 62. As for the total energy: -8.45 eV/atom. For the energy of formation, the calculation gives -2.174 eV per formula unit.

Which value of energy of formation does entry 1 give?
-21.465 eV per formula unit